(1)
VASP calculation (PBE) on a relaxed K4TmP8H18N8O16 crystal.

Cell: 11.084 11.084 19.204 Å, 86.02 86.02 60.65°
Atoms (fractional coordinates):
K1 0.500 0.000 0.000
K2 0.000 0.500 0.500
K3 0.374 0.626 0.250
K4 0.626 0.374 0.750
K5 0.436 0.195 0.293
K6 0.564 0.805 0.707
K7 0.805 0.564 0.207
K8 0.195 0.436 0.793
Tm1 0.760 0.240 0.250
Tm2 0.240 0.760 0.750
P1 0.892 0.028 0.107
P2 0.108 0.972 0.893
P3 0.972 0.108 0.393
P4 0.028 0.892 0.607
P5 0.590 0.204 0.113
P6 0.410 0.796 0.887
P7 0.796 0.410 0.387
P8 0.204 0.590 0.613
P9 0.712 0.069 0.405
P10 0.288 0.931 0.595
P11 0.931 0.288 0.095
P12 0.069 0.712 0.905
P13 0.533 0.389 0.399
P14 0.467 0.611 0.601
P15 0.611 0.467 0.101
P16 0.389 0.533 0.899
H1 0.239 0.057 0.053
H2 0.761 0.943 0.947
H3 0.943 0.761 0.447
H4 0.057 0.239 0.553
H5 0.683 0.910 0.585
H6 0.317 0.090 0.415
H7 0.090 0.317 0.915
H8 0.910 0.683 0.085
H9 0.611 0.775 0.095
H10 0.389 0.225 0.905
H11 0.225 0.389 0.405
H12 0.775 0.611 0.595
H13 0.422 0.022 0.186
H14 0.578 0.978 0.814
H15 0.978 0.578 0.314
H16 0.022 0.422 0.686
H17 0.263 0.800 0.115
H18 0.737 0.200 0.885
H19 0.200 0.737 0.385
H20 0.800 0.263 0.615
H21 0.490 0.778 0.303
H22 0.510 0.222 0.697
H23 0.222 0.510 0.197
H24 0.778 0.490 0.803
H25 0.581 0.778 0.435
H26 0.419 0.222 0.565
H27 0.222 0.419 0.065
H28 0.778 0.581 0.935
H29 0.189 0.976 0.239
H30 0.811 0.024 0.761
H31 0.024 0.811 0.261
H32 0.976 0.189 0.739
H33 0.714 0.888 0.236
H34 0.286 0.112 0.764
H35 0.112 0.286 0.264
H36 0.888 0.714 0.736
N1 0.865 0.049 0.421
N2 0.135 0.951 0.579
N3 0.951 0.135 0.079
N4 0.049 0.865 0.921
N5 0.739 0.102 0.073
N6 0.261 0.898 0.927
N7 0.898 0.261 0.427
N8 0.102 0.739 0.573
N9 0.568 0.354 0.079
N10 0.432 0.646 0.921
N11 0.646 0.432 0.421
N12 0.354 0.568 0.579
N13 0.590 0.226 0.426
N14 0.410 0.774 0.574
N15 0.774 0.410 0.074
N16 0.226 0.590 0.926
O1 0.883 0.048 0.186
O2 0.117 0.952 0.814
O3 0.952 0.117 0.314
O4 0.048 0.883 0.686
O5 0.536 0.381 0.318
O6 0.464 0.619 0.682
O7 0.619 0.464 0.182
O8 0.381 0.536 0.818
O9 0.600 0.210 0.193
O10 0.400 0.790 0.807
O11 0.790 0.400 0.307
O12 0.210 0.600 0.693
O13 0.705 0.083 0.325
O14 0.295 0.917 0.675
O15 0.917 0.295 0.175
O16 0.083 0.705 0.825
O17 0.884 0.980 0.583
O18 0.116 0.020 0.417
O19 0.020 0.116 0.917
O20 0.980 0.884 0.083
O21 0.689 0.960 0.444
O22 0.311 0.040 0.556
O23 0.040 0.311 0.056
O24 0.960 0.689 0.944
O25 0.482 0.167 0.095
O26 0.518 0.833 0.905
O27 0.833 0.518 0.405
O28 0.167 0.482 0.595
O29 0.517 0.608 0.070
O30 0.483 0.392 0.930
O31 0.392 0.483 0.430
O32 0.608 0.517 0.570

Magnetic moment ... 46.0 Bohr magnetons per cell
Total energy ... -4.80 eV per atom
Space-group type ... C2/c

---

(2)
VASP calculation (PBE) on a relaxed K2HS2NO6 crystal.

Cell: 7.286 7.388 7.919 Å, 85.54 90.00 90.00°
Atoms (fractional coordinates):
K1 0.338 0.115 0.724
K2 0.331 0.374 0.272
K3 0.662 0.615 0.724
K4 0.669 0.874 0.272
H1 0.024 0.337 0.543
H2 0.976 0.837 0.543
S1 0.820 0.134 0.663
S2 0.813 0.369 0.333
S3 0.180 0.634 0.663
S4 0.187 0.869 0.333
N1 0.925 0.253 0.498
N2 0.075 0.753 0.498
O1 0.300 0.014 0.400
O2 0.975 0.073 0.769
O3 0.696 0.234 0.261
O4 0.689 0.251 0.744
O5 0.965 0.438 0.228
O6 0.276 0.483 0.588
O7 0.700 0.514 0.400
O8 0.025 0.573 0.769
O9 0.304 0.734 0.261
O10 0.311 0.751 0.744
O11 0.035 0.938 0.228
O12 0.724 0.983 0.588

ΔE to the lowest computed polymorph ... 0.044 eV/atom
Magnetic moment ... 0.0 Bohr magnetons per cell
Total energy ... -5.69 eV per atom
Space-group type ... Pc
Largest piezoelectric modulus ... 0.106 C/m2

---

(3)
VASP calculation (PBE) on a relaxed K3H2S2NO7 crystal.

Cell: 8.220 8.054 6.819 Å, 103.25 90.89 97.64°
Atoms (fractional coordinates):
K1 0.055 0.687 0.759
K2 0.945 0.313 0.241
K3 0.344 0.199 0.064
K4 0.656 0.801 0.936
K5 0.674 0.668 0.423
K6 0.326 0.332 0.577
H1 0.455 0.900 0.660
H2 0.545 0.100 0.340
H3 0.317 0.781 0.519
H4 0.683 0.219 0.481
S1 0.062 0.849 0.277
S2 0.938 0.151 0.723
S3 0.307 0.681 0.146
S4 0.693 0.319 0.854
N1 0.127 0.751 0.123
N2 0.873 0.249 0.877
O1 0.186 0.041 0.338
O2 0.814 0.959 0.662
O3 0.893 0.886 0.209
O4 0.107 0.114 0.791
O5 0.042 0.705 0.411
O6 0.958 0.295 0.589
O7 0.458 0.855 0.198
O8 0.542 0.145 0.802
O9 0.306 0.521 0.268
O10 0.694 0.479 0.732
O11 0.318 0.600 0.980
O12 0.682 0.400 0.020
O13 0.402 0.764 0.611
O14 0.598 0.236 0.389

ΔE to the lowest computed polymorph ... 0.758 eV/atom
Magnetic moment ... 0.0 Bohr magnetons per cell
Total energy ... -4.77 eV per atom
Space-group type ... P-1

---

no.,energy relative to the elements (eV per atom)
1,-0.293
2,-1.705
3,-1.002